A plane-wave DFT calculation with meta-GGA r2SCAN was carried out for K2CaC2O6 after structural relaxation.

Output
- energy relative to the elements (eV/atom) = -2.16

Lattice parameters (Å, degrees): 6.732 6.732 6.732 47.21 47.21 47.21
Sites, in units of the cell vectors:
K 0.209 0.209 0.209
K 0.791 0.791 0.791
Ca 0.000 0.000 0.000
C 0.413 0.413 0.413
C 0.587 0.587 0.587
O 0.275 0.275 0.690
O 0.275 0.690 0.275
O 0.310 0.725 0.725
O 0.690 0.275 0.275
O 0.725 0.310 0.725
O 0.725 0.725 0.310

A plane-wave DFT calculation with meta-GGA r2SCAN was carried out for K2Ca2C3O9 after structural relaxation.

Output
- energy relative to the elements (eV/atom) = -2.23

Lattice parameters (Å, degrees): 8.042 8.042 8.042 107.98 107.98 107.98
Sites, in units of the cell vectors:
K 0.000 0.000 0.000
K 0.171 0.774 0.315
K 0.315 0.171 0.774
K 0.774 0.315 0.171
Ca 0.365 0.700 0.847
Ca 0.424 0.424 0.424
Ca 0.700 0.847 0.365
Ca 0.847 0.365 0.700
C 0.068 0.257 0.454
C 0.257 0.454 0.068
C 0.454 0.068 0.257
C 0.605 0.938 0.692
C 0.692 0.605 0.938
C 0.938 0.692 0.605
O 0.059 0.717 0.770
O 0.152 0.154 0.397
O 0.154 0.397 0.152
O 0.154 0.445 0.520
O 0.174 0.442 0.896
O 0.397 0.152 0.154
O 0.442 0.896 0.174
O 0.445 0.520 0.154
O 0.511 0.768 0.541
O 0.520 0.154 0.445
O 0.536 0.982 0.815
O 0.541 0.511 0.768
O 0.717 0.770 0.059
O 0.768 0.541 0.511
O 0.770 0.059 0.717
O 0.815 0.536 0.982
O 0.896 0.174 0.442
O 0.982 0.815 0.536

A plane-wave DFT calculation with meta-GGA r2SCAN was carried out for CaMgC2O6 after structural relaxation.

Output
- energy relative to the elements (eV/atom) = -2.30

Lattice parameters (Å, degrees): 11.031 11.031 11.031 25.18 25.18 25.18
Sites, in units of the cell vectors:
Ca 0.120 0.120 0.120
Ca 0.880 0.880 0.880
Mg 0.371 0.371 0.371
Mg 0.629 0.629 0.629
C 0.000 0.000 0.000
C 0.258 0.258 0.258
C 0.500 0.500 0.500
C 0.742 0.742 0.742
O 0.000 0.269 0.731
O 0.030 0.700 0.499
O 0.232 0.500 0.768
O 0.269 0.731 0.000
O 0.300 0.970 0.501
O 0.499 0.030 0.700
O 0.500 0.768 0.232
O 0.501 0.300 0.970
O 0.700 0.499 0.030
O 0.731 0.000 0.269
O 0.768 0.232 0.500
O 0.970 0.501 0.300

A plane-wave DFT calculation with meta-GGA r2SCAN was carried out for CaMgC2O6 after structural relaxation.

Output
- energy relative to the elements (eV/atom) = -2.31

Lattice parameters (Å, degrees): 5.994 5.994 5.994 47.39 47.39 47.39
Sites, in units of the cell vectors:
Ca 0.000 0.000 0.000
Mg 0.500 0.500 0.500
C 0.243 0.243 0.243
C 0.757 0.757 0.757
O 0.040 0.722 0.508
O 0.278 0.492 0.960
O 0.492 0.960 0.278
O 0.508 0.040 0.722
O 0.722 0.508 0.040
O 0.960 0.278 0.492